# 1
Computed, not measured: a relaxed structure of V2O5 at the r²SCAN level of DFT.

Cell lengths 15.356, 3.579, 10.160 Å; angles 90.00, 110.79, 90.00 degrees
Space group C2/m (No. 12)
Symmetry-distinct sites (fractional):
V: 0.118 0.000 0.116 (multiplicity 4)
V: 0.159 0.500 0.889 (multiplicity 4)
V: 0.209 0.500 0.585 (multiplicity 4)
O: 0.000 0.000 0.000 (multiplicity 2)
O: 0.056 0.500 0.779 (multiplicity 4)
O: 0.099 0.500 0.519 (multiplicity 4)
O: 0.114 0.000 0.271 (multiplicity 4)
O: 0.137 0.500 0.075 (multiplicity 4)
O: 0.182 0.000 0.945 (multiplicity 4)
O: 0.232 0.500 0.777 (multiplicity 4)
O: 0.243 0.000 0.574 (multiplicity 4)



# 2
Computed, not measured: a relaxed structure of V4O7 at the r²SCAN level of DFT.

Cell lengths 5.551, 6.786, 6.987 Å; angles 64.37, 70.30, 75.18 degrees
Space group P-1 (No. 2)
Symmetry-distinct sites (fractional):
V: 0.185 0.094 0.259 (multiplicity 2)
V: 0.189 0.098 0.756 (multiplicity 2)
V: 0.281 0.627 0.087 (multiplicity 2)
V: 0.286 0.624 0.585 (multiplicity 2)
O: 0.025 0.172 0.520 (multiplicity 2)
O: 0.083 0.388 0.758 (multiplicity 2)
O: 0.174 0.776 0.797 (multiplicity 2)
O: 0.204 0.946 0.065 (multiplicity 2)
O: 0.354 0.333 0.092 (multiplicity 2)
O: 0.401 0.533 0.339 (multiplicity 2)
O: 0.473 0.896 0.362 (multiplicity 2)



# 3
Computed, not measured: a relaxed structure of V2O5 at the r²SCAN level of DFT.

Cell lengths 3.538, 10.049, 11.443 Å; angles 90.00, 90.00, 90.00 degrees
Space group Cmcm (No. 63)
Symmetry-distinct sites (fractional):
V: 0.000 0.204 0.104 (multiplicity 8)
O: 0.000 0.047 0.119 (multiplicity 8)
O: 0.000 0.250 0.568 (multiplicity 8)
O: 0.000 0.268 0.250 (multiplicity 4)



| no. | E (eV/atom) | DFT formation energy (meV/atom) |
| --- | --- | --- |
| 1 | -10.68 | -2391.1 |
| 2 | -11.59 | -2664.8 |
| 3 | -10.68 | -2383.4 |